VASP calculation (GGA-PBE) on a geometry-optimized Ba2Mg3Tl2Cu4O12 structure.

* energy of formation from the pure elements: -1.758 eV per atom
* crystal system: tetragonal
* M_tot: 0.0 μB/f.u.

Unit cell a=3.7979 b=3.7979 c=21.0023 alpha=95.19 beta=95.19 gamma=90.00
Element x y z (fractional)
1 O 0.5339 0.0339 0.0678
2 O 0.7730 0.7730 0.5460
3 Cu 0.3967 0.3967 0.7935
4 Ba 0.8467 0.8467 0.6935
5 Mg 0.9274 0.9274 0.8549
6 Cu 0.6033 0.6033 0.2065
7 O 0.8976 0.3976 0.7952
8 Mg 0.0726 0.0726 0.1451
9 O 0.6721 0.6721 0.3443
10 O 0.3976 0.8976 0.7952
11 O 0.1024 0.6024 0.2048
12 Cu 0.5358 0.5358 0.0717
13 Tl 0.7218 0.7218 0.4436
14 O 0.4661 0.9661 0.9322
15 Tl 0.2782 0.2782 0.5564
16 O 0.3279 0.3279 0.6557
17 O 0.6024 0.1024 0.2048
18 O 0.9661 0.4661 0.9322
19 Ba 0.1533 0.1533 0.3065
20 Cu 0.4642 0.4642 0.9283
21 O 0.2270 0.2270 0.4540
22 O 0.0339 0.5339 0.0678
23 Mg 0.0000 0.0000 0.0000

=====

VASP calculation (GGA-PBE) on a geometry-optimized OsC4O4 structure.

* polymorph energy (0 for the lowest one): 0.012 eV per atom
* energy of formation from the pure elements: -0.954 eV per atom
* crystal system: triclinic
* M_tot: 0.0 μB/f.u.

Unit cell a=9.5820 b=9.6503 c=14.2653 alpha=87.46 beta=101.32 gamma=110.20
Element x y z (fractional)
1 O 0.6389 0.2558 0.7664
2 O 0.6058 0.8360 0.9322
3 O 0.8413 0.5875 0.6206
4 C 0.1124 0.9085 0.6724
5 O 0.5186 0.6623 0.4977
6 C 0.3416 0.0965 0.3137
7 C 0.5766 0.1288 0.7555
8 O 0.0895 0.6722 0.5014
9 O 0.9105 0.3278 0.4986
10 O 0.7663 0.8947 0.6657
11 C 0.0571 0.4148 0.3202
12 Os 0.0971 0.5616 0.7848
13 O 0.9469 0.0798 0.4050
14 Os 0.6693 0.3999 0.3447
15 O 0.6619 0.0202 0.4782
16 Os 0.2030 0.8988 0.8074
17 C 0.9763 0.1128 0.1492
18 O 0.3942 0.1640 0.0678
19 C 0.6584 0.9035 0.6863
20 C 0.3875 0.9538 0.5989
21 O 0.2005 0.2666 0.6092
22 O 0.8968 0.5541 0.9298
23 C 0.5461 0.3585 0.4394
24 C 0.6125 0.0462 0.4011
25 C 0.9429 0.5852 0.6798
26 Os 0.5132 0.0783 0.2733
27 C 0.5103 0.4248 0.2428
28 O 0.5878 0.5553 0.8114
29 C 0.5535 0.8639 0.8564
30 O 0.3381 0.9798 0.5218
31 C 0.7067 0.8917 0.1760
32 O 0.6374 0.4581 0.0553
33 C 0.2933 0.1083 0.8240
34 C 0.4539 0.6415 0.5606
35 C 0.2705 0.5561 0.8826
36 O 0.4814 0.3377 0.5023
37 C 0.7565 0.6079 0.3722
38 C 0.0258 0.4399 0.1246
39 C 0.8876 0.0915 0.3276
40 O 0.6583 0.7643 0.1629
41 O 0.3611 0.7442 0.2336
42 Os 0.7970 0.1012 0.1926
43 O 0.2337 0.1053 0.3343
44 C 0.2936 0.8561 0.9348
45 O 0.4122 0.4447 0.1886
46 C 0.9711 0.6470 0.2355
47 Os 0.3307 0.6001 0.6553
48 O 0.3417 0.2357 0.8371
49 O 0.0211 0.7755 0.2430
50 C 0.2435 0.3921 0.6278
51 C 0.4465 0.1361 0.1436
52 Os 0.4868 0.9217 0.7267
53 O 0.0801 0.1090 0.1199
54 O 0.1032 0.4459 0.0702
55 Os 0.9029 0.4384 0.2152
56 O 0.6601 0.1648 0.9862
57 O 0.7995 0.7334 0.3908
58 O 0.3399 0.8352 0.0138
59 O 0.9199 0.8910 0.8801
60 C 0.0289 0.3530 0.7645
61 C 0.4234 0.8712 0.2445
62 O 0.9789 0.2245 0.7570
63 C 0.7295 0.4439 0.1174
64 O 0.1587 0.4125 0.3794
65 C 0.4897 0.5752 0.7572
66 O 0.3626 0.5419 0.9447
67 O 0.0531 0.9202 0.5950
68 C 0.0237 0.8872 0.8508
69 C 0.8254 0.3520 0.4359
70 C 0.7064 0.1439 0.0652
71 C 0.9742 0.5601 0.8754
72 C 0.1746 0.6480 0.5641

=====

VASP calculation (GGA-PBE) on a geometry-optimized Li2NbS3 structure.

* polymorph energy (0 for the lowest one): 0.000 eV per atom
* energy of formation from the pure elements: -1.400 eV per atom
* crystal system: triclinic
* M_tot: 0.0 μB/f.u.

Unit cell a=6.2548 b=6.2083 c=6.4795 alpha=81.67 beta=79.29 gamma=120.29
Element x y z (fractional)
1 Li 0.0000 0.0000 0.0000
2 S 0.7238 0.7265 0.7711
3 Nb 0.6409 0.2804 0.9981
4 Li 0.5000 0.5000 0.5000
5 S 0.2762 0.2735 0.2289
6 S 0.0742 0.4270 0.7711
7 S 0.9258 0.5730 0.2289
8 Li 0.8642 0.1787 0.5034
9 Nb 0.3591 0.7196 0.0019
10 Li 0.1358 0.8213 0.4966
11 S 0.5752 0.9154 0.2604
12 S 0.4248 0.0846 0.7396

=====

VASP calculation (GGA-PBE) on a geometry-optimized MnCr2Se2S2 structure.

* energy of formation from the pure elements: -0.742 eV per atom
* crystal system: cubic
* M_tot: 11.0 μB/f.u.

Unit cell a=7.3577 b=7.3577 c=7.3577 alpha=60.00 beta=60.00 gamma=60.00
Element x y z (fractional)
1 Cr 0.1205 0.1205 0.1205
2 Cr 0.6386 0.1205 0.1205
3 S 0.3415 0.8862 0.8862
4 Se 0.3648 0.3648 0.3648
5 Se 0.3648 0.3648 0.9056
6 Se 0.9056 0.3648 0.3648
7 Se 0.3648 0.9056 0.3648
8 Mn 0.5000 0.5000 0.5000
9 Mn 0.7500 0.7500 0.7500
10 Cr 0.1205 0.1205 0.6386
11 S 0.8862 0.8862 0.3415
12 S 0.8862 0.8862 0.8862
13 Cr 0.1205 0.6386 0.1205
14 S 0.8862 0.3415 0.8862

=====

VASP calculation (GGA-PBE) on a geometry-optimized Na3Nb2Al2SiP5O24 structure.

* energy of formation from the pure elements: -2.912 eV per atom
* crystal system: triclinic
* M_tot: 0.0 μB/f.u.

Unit cell a=8.6839 b=8.6498 c=22.3097 alpha=90.04 beta=89.95 gamma=119.81
Element x y z (fractional)
1 Nb 0.0009 0.0008 0.3553
2 O 0.6428 0.1462 0.4238
3 P 0.0117 0.2922 0.2482
4 P 0.9520 0.3279 0.5808
5 O 0.1997 0.0270 0.3056
6 P 0.2834 0.9896 0.2485
7 O 0.3058 0.8270 0.2588
8 Al 0.6605 0.3307 0.4799
9 O 0.9731 0.1729 0.3054
10 O 0.5068 0.1457 0.9250
11 Al 0.3332 0.6667 0.3137
12 O 0.8350 0.0308 0.8068
13 O 0.1394 0.4965 0.5766
14 O 0.1734 0.0227 0.5928
15 O 0.5022 0.6361 0.8609
16 Si 0.9517 0.6275 0.0811
17 P 0.3736 0.3204 0.0816
18 Al 0.0068 0.0017 0.1472
19 O 0.4622 0.2974 0.0262
20 Na 0.3626 0.9953 0.7515
21 Na 0.6723 0.6997 0.0837
22 O 0.4985 0.1291 0.6419
23 O 0.8026 0.9678 0.6878
24 P 0.6765 0.0533 0.0813
25 Si 0.7073 0.9860 0.7467
26 O 0.6379 0.4919 0.9235
27 P 0.6147 0.6545 0.9156
28 Nb 0.6679 0.3314 0.6877
29 O 0.4963 0.3657 0.1382
30 O 0.9717 0.7984 0.8063
31 P 0.0383 0.6539 0.4141
32 O 0.8558 0.3592 0.9240
33 Na 0.3284 0.6551 0.6707
34 O 0.5006 0.8651 0.3605
35 O 0.1686 0.6930 0.7588
36 O 0.3046 0.4643 0.4715
37 Na 0.6656 0.3324 0.3373
38 O 0.8048 0.8271 0.9102
39 O 0.1709 0.4775 0.2581
40 P 0.6157 0.9598 0.4145
41 O 0.6878 0.1699 0.7441
42 P 0.2806 0.2937 0.7489
43 Na 0.0104 0.0007 0.5037
44 O 0.8039 0.9741 0.4092
45 O 0.3637 0.4984 0.3594
46 O 0.8724 0.3671 0.6385
47 P 0.3449 0.3854 0.4141
48 Si 0.3674 0.0533 0.5807
49 O 0.6377 0.5071 0.6382
50 O 0.2058 0.1697 0.8053
51 O 0.8277 0.8004 0.3047
52 Al 0.0038 0.9997 0.6474
53 O 0.8343 0.2999 0.5267
54 Nb 0.6721 0.3354 0.1891
55 O 0.1603 0.4662 0.9715
56 O 0.3643 0.4983 0.0761
57 O 0.5061 0.3620 0.4231
58 O 0.8236 0.5315 0.0252
59 Nb 0.9943 0.9999 0.8557
60 Na 0.6734 0.3404 0.8381
61 Al 0.3377 0.6648 0.8138
62 O 0.4694 0.3090 0.7434
63 O 0.1593 0.6949 0.4716
64 O 0.3645 0.8718 0.8584
65 O 0.8352 0.0254 0.0913
66 O 0.0387 0.8335 0.6948
67 O 0.8643 0.4989 0.1414
68 O 0.5087 0.8602 0.0759
69 O 0.3068 0.8396 0.9711
70 Nb 0.3257 0.6657 0.0211
71 O 0.1719 0.9768 0.9106
72 O 0.9715 0.8207 0.0928
73 P 0.7056 0.7179 0.2485
74 O 0.7937 0.8272 0.1921
75 O 0.0313 0.1992 0.1932
76 O 0.1691 0.9672 0.1938
77 O 0.1347 0.4996 0.8598
78 P 0.0406 0.3854 0.9140
79 P 0.6757 0.6228 0.5806
80 O 0.3605 0.8548 0.5759
81 O 0.1700 0.2029 0.6937
82 O 0.1491 0.6436 0.0773
83 O 0.6971 0.1647 0.0261
84 O 0.4699 0.1615 0.2435
85 O 0.4735 0.1706 0.5242
86 O 0.3036 0.4777 0.7591
87 Na 0.0080 0.0049 0.0034
88 O 0.5076 0.8243 0.7582
89 O 0.5046 0.6430 0.5757
90 O 0.0241 0.8283 0.4095
91 O 0.8550 0.4944 0.4251
92 O 0.1325 0.6340 0.3598
93 O 0.6337 0.1287 0.1388
94 O 0.8368 0.3052 0.2442
95 Na 0.6699 0.9710 0.5857
96 O 0.5391 0.8430 0.4729
97 O 0.0288 0.1977 0.9105
98 O 0.5210 0.6939 0.2585
99 O 0.7002 0.5337 0.5256
100 O 0.8321 0.8115 0.5893
101 Nb 0.3292 0.6668 0.5208
102 Na 0.3260 0.6662 0.1716
103 O 0.5405 0.6953 0.9738
104 O 0.9694 0.1628 0.5903
105 O 0.8346 0.5293 0.7443
106 Al 0.6685 0.3369 0.9806
107 O 0.6889 0.5280 0.2440
108 P 0.3446 0.9633 0.9143
109 O 0.1718 0.1959 0.4091
110 O 0.1883 0.1647 0.0921
111 P 0.0050 0.7139 0.7492

=====

VASP calculation (GGA-PBE) on a geometry-optimized TcN2Cl6 structure.

* energy of formation from the pure elements: 0.399 eV per atom
* crystal system: cubic
* M_tot: 5.0 μB/f.u.

Unit cell a=6.8710 b=6.8710 c=6.8710 alpha=60.00 beta=60.00 gamma=60.00
Element x y z (fractional)
1 Cl 0.7630 0.7630 0.2370
2 Cl 0.2370 0.2370 0.7630
3 Cl 0.2370 0.7630 0.7630
4 Cl 0.2370 0.7630 0.2370
5 N 0.7500 0.7500 0.7500
6 Tc 0.0000 0.0000 0.0000
7 Cl 0.7630 0.2370 0.2370
8 Cl 0.7630 0.2370 0.7630
9 N 0.2500 0.2500 0.2500

=====

VASP calculation (GGA-PBE) on a geometry-optimized Mg2NiH4 structure.

* polymorph energy (0 for the lowest one): 0.000 eV per atom
* energy of formation from the pure elements: -0.342 eV per atom
* crystal system: monoclinic

Unit cell a=7.8827 b=7.8827 c=6.5006 alpha=68.68 beta=68.68 gamma=48.01
Element x y z (fractional)
1 H 0.6947 0.2793 0.5590
2 Mg 0.7498 0.7818 0.4111
3 Ni 0.3483 0.8927 0.4231
4 H 0.7207 0.3053 0.9410
5 H 0.0923 0.4895 0.3002
6 Mg 0.2182 0.2502 0.0889
7 Ni 0.8927 0.3483 0.9231
8 Mg 0.5313 0.4687 0.2500
9 H 0.8162 0.4623 0.1229
10 Mg 0.4687 0.5313 0.7500
11 H 0.1370 0.1118 0.9333
12 H 0.4895 0.0923 0.8002
13 H 0.9077 0.5105 0.6998
14 Ni 0.6517 0.1073 0.5769
15 H 0.5105 0.9077 0.1998
16 Mg 0.7818 0.7498 0.9111
17 H 0.2793 0.6947 0.0590
18 Mg 0.2502 0.2182 0.5889
19 H 0.8630 0.8882 0.0667
20 H 0.4623 0.8162 0.6229
21 Mg 0.0287 0.9713 0.2500
22 H 0.8882 0.8630 0.5667
23 Mg 0.9713 0.0287 0.7500
24 Ni 0.1073 0.6517 0.0769
25 H 0.3053 0.7207 0.4410
26 H 0.1838 0.5377 0.8771
27 H 0.1118 0.1370 0.4333
28 H 0.5377 0.1838 0.3771

=====

VASP calculation (GGA-PBE) on a geometry-optimized ZrU4O10 structure.

* polymorph energy (0 for the lowest one): 0.010 eV per atom
* energy of formation from the pure elements: -3.717 eV per atom
* crystal system: monoclinic
* M_tot: 8.0 μB/f.u.

Unit cell a=15.6355 b=15.6355 c=6.5900 alpha=86.00 beta=86.00 gamma=14.03
Element x y z (fractional)
1 U 0.8011 0.8011 0.8994
2 Zr 0.4004 0.4004 0.6995
3 U 0.5000 0.5000 0.0000
4 O 0.4242 0.4242 0.0177
5 U 0.3006 0.3006 0.4008
6 O 0.7752 0.7752 0.5756
7 O 0.2248 0.2248 0.4244
8 U 0.6994 0.6994 0.5992
9 O 0.3765 0.3765 0.3821
10 O 0.9750 0.9750 0.1767
11 O 0.6724 0.6724 0.2753
12 O 0.6235 0.6235 0.6179
13 U 0.0997 0.0997 0.7999
14 O 0.0250 0.0250 0.8233
15 O 0.1233 0.1233 0.1328
16 O 0.8767 0.8767 0.8672
17 O 0.3276 0.3276 0.7247
18 U 0.1989 0.1989 0.1006
19 U 0.9003 0.9003 0.2001
20 U 0.0000 0.0000 0.5000
21 O 0.0757 0.0757 0.4677
22 O 0.1741 0.1741 0.7760
23 O 0.5266 0.5266 0.3266
24 O 0.8259 0.8259 0.2240
25 O 0.9243 0.9243 0.5323
26 O 0.5758 0.5758 0.9823
27 O 0.2753 0.2753 0.0743
28 O 0.4734 0.4734 0.6734
29 O 0.7247 0.7247 0.9257
30 Zr 0.5996 0.5996 0.3005

=====

Which value of energy of formation from the pure elements does entry 2 give?
-0.954 eV per atom

=====

Among the records above, which one has the highest energy of formation from the pure elements?
TcN2Cl6

=====

Number 8 is which compound?
ZrU4O10

=====

What is the energy of formation from the pure elements in the second record?
-0.954 eV per atom